No. 1
An optimized crystal structure of Li9Mn2Co5O16, computed with PBE+U.

abc: 2.9750 8.0855 11.9313
angles: 90.65 94.26 91.00
With the nearest neighbours (Å) after each atom.
Element x y z (fractional)
1 Li 0.0000 0.0000 0.0000  6 O 2.09-2.19
2 Li 0.0020 0.0097 0.4964  6 O 2.08-2.24
3 Li 0.0085 0.4932 0.2494  5 O 2.10-2.23
4 Li 0.4923 0.2445 0.3805  5 O 2.00-2.16
5 Li 0.4953 0.2443 0.1258  6 O 2.02-2.21
6 Li 0.4981 0.7535 0.3755  6 O 1.99-2.20
7 Li 0.5014 0.7529 0.8735  6 O 2.09-2.19
8 Li 0.5087 0.2451 0.6185  5 O 2.00-2.18
9 Li 0.9974 0.4984 0.7528  5 O 2.08-2.12
10 Mn 0.0020 0.4995 0.0004  4 O 1.95-1.97
11 Mn 0.0039 0.4926 0.4969  6 O 1.83-2.03
12 Co 0.0030 0.9993 0.7491  4 O 1.92-1.94
13 Co 0.4979 0.7520 0.1265  4 O 1.90-1.94
14 Co 0.5046 0.2477 0.8732  4 O 1.91-1.95
15 Co 0.5126 0.7520 0.6229  4 O 1.91-1.96
16 Co 0.9966 0.0098 0.2544  2 O 1.74-1.86
17 O 0.0061 0.2241 0.2459  1 Co 1.74
18 O 0.0277 0.7415 0.0055  1 Co 1.93, 1 Mn 1.96, 2 Li 2.09-2.14
19 O 0.0290 0.2370 0.7567  2 Co 1.91-1.92, 1 Li 2.12
20 O 0.0323 0.7397 0.5080  1 Co 1.91, 1 Mn 2.00
21 O 0.4725 0.5118 0.1252  1 Co 1.94, 1 Mn 1.97, 3 Li 2.10-2.17
22 O 0.4743 0.0104 0.8679  2 Co 1.92, 2 Li 2.09-2.14
23 O 0.4737 0.9980 0.3640  1 Co 1.86, 2 Li 1.99-2.00
24 O 0.4763 0.5003 0.3903  2 Mn 1.95-1.96, 3 Li 2.06-2.10
25 O 0.5252 0.9864 0.1314  2 Co 1.90-1.96, 1 Li 2.09
26 O 0.5254 0.9880 0.6320  2 Co 1.91-1.92, 1 Li 2.09
27 O 0.5284 0.5104 0.6101  1 Co 1.96, 2 Mn 1.99-2.03, 2 Li 2.12-2.15
28 O 0.5291 0.4884 0.8758  1 Co 1.95, 1 Mn 1.97, 3 Li 2.08-2.14
29 O 0.9742 0.2579 0.9932  1 Co 1.92, 1 Mn 1.95, 2 Li 2.09-2.14
30 O 0.9735 0.7688 0.2430  2 Co 1.91-1.95
31 O 0.9765 0.7600 0.7429  2 Co 1.91-1.94, 2 Li 2.12
32 O 0.9941 0.2666 0.5025  1 Mn 1.83, 2 Li 2.00-2.01

Computed properties:
- DFT total energy: -5.79 eV per atom
- Polymorph energy (0 for the lowest one): 60 meV/atom
- Energy of formation: -57.7 eV per formula unit
- Symmetry: P1

No. 2
An optimized crystal structure of Na3CoO3, computed with PBE+U.

abc: 6.8961 9.6301 6.4438
angles: 90.00 116.16 90.00
With the nearest neighbours (Å) after each atom.
Element x y z (fractional)
1 Na 0.0087 0.2101 0.0359  3 O 2.26-2.41
2 Na 0.0087 0.2899 0.5359  3 O 2.26-2.41
3 Na 0.2383 0.5579 0.2506  4 O 2.32-2.59
4 Na 0.2383 0.9421 0.7506  4 O 2.32-2.59
5 Na 0.4639 0.2192 0.7908  4 O 2.36-2.50
6 Na 0.4639 0.2808 0.2908  4 O 2.36-2.50
7 Na 0.5361 0.7192 0.7092  4 O 2.36-2.50
8 Na 0.5361 0.7808 0.2092  4 O 2.36-2.50
9 Na 0.7617 0.0579 0.2494  4 O 2.32-2.59
10 Na 0.7617 0.4421 0.7494  4 O 2.32-2.59
11 Na 0.9913 0.7101 0.4641  3 O 2.26-2.41
12 Na 0.9913 0.7899 0.9641  3 O 2.26-2.41
13 Co 0.2705 0.5134 0.8179  3 O 1.77-1.79
14 Co 0.2705 0.9866 0.3179  3 O 1.77-1.79
15 Co 0.7295 0.0134 0.6821  3 O 1.77-1.79
16 Co 0.7295 0.4866 0.1821  3 O 1.77-1.79
17 O 0.1726 0.1097 0.4537  1 Co 1.77
18 O 0.1726 0.3903 0.9537  1 Co 1.77
19 O 0.2606 0.6960 0.8611  1 Co 1.79
20 O 0.2606 0.8040 0.3611  1 Co 1.79
21 O 0.3352 0.0543 0.1003  1 Co 1.77
22 O 0.3352 0.4457 0.6003  1 Co 1.77
23 O 0.6648 0.5543 0.3997  1 Co 1.77
24 O 0.6648 0.9457 0.8997  1 Co 1.77
25 O 0.7394 0.1960 0.6389  1 Co 1.79
26 O 0.7394 0.3040 0.1389  1 Co 1.79
27 O 0.8274 0.6097 0.0463  1 Co 1.77
28 O 0.8274 0.8903 0.5463  1 Co 1.77

Computed properties:
- DFT total energy: -4.71 eV per atom
- Polymorph energy (0 for the lowest one): 36 meV/atom
- Energy of formation: -10.8 eV per formula unit
- Symmetry: P2_1/c

No. 3
An optimized crystal structure of Li2FeF4, computed with PBE+U.

abc: 5.2131 5.2131 6.5696
angles: 90.00 90.00 113.00
With the nearest neighbours (Å) after each atom.
Element x y z (fractional)
1 Li 0.0000 0.0000 0.0000  6 F 1.99-2.21
2 Li 0.0000 0.0000 0.5000  6 F 1.99-2.21
3 Li 0.3453 0.6547 0.7500  4 F 1.85-1.91
4 Li 0.6547 0.3453 0.2500  4 F 1.85-1.91
5 Fe 0.3300 0.6700 0.2500  4 F 1.94-2.07
6 Fe 0.6700 0.3300 0.7500  4 F 1.94-2.07
7 F 0.2291 0.7709 0.5133  2 Li 1.85-1.99, 1 Fe 1.94
8 F 0.2291 0.7709 0.9867  2 Li 1.85-1.99, 1 Fe 1.94
9 F 0.2511 0.2617 0.7500  1 Li 1.91, 1 Fe 2.07
10 F 0.2617 0.2511 0.2500  1 Li 1.91, 1 Fe 2.07
11 F 0.7383 0.7489 0.7500  1 Li 1.91, 1 Fe 2.07
12 F 0.7489 0.7383 0.2500  1 Li 1.91, 1 Fe 2.07
13 F 0.7709 0.2291 0.0133  2 Li 1.85-1.99, 1 Fe 1.94
14 F 0.7709 0.2291 0.4867  2 Li 1.85-1.99, 1 Fe 1.94

Computed properties:
- DFT total energy: -5.08 eV per atom
- Polymorph energy (0 for the lowest one): 84 meV/atom
- Energy of formation: -19.7 eV per formula unit
- Symmetry: Cmcm